Entry 1:
The following is a GGA+U calculation of crystalline MnNi7O8 at its relaxed geometry, from the Materials Project database.

Values from the calculation:
Its total moment is 75.99 μB per cell. For the total energy, the calculation gives -5.285 eV per atom. The calculation puts the formation energy at -29.274 kcal/mol of atoms. As for the volume: 9.680 Å³/atom.

a = 8.5249 Å, b = 8.5249 Å, c = 8.5249 Å
α = 90.00°, β = 90.00°, γ = 90.00°
Closest atoms and distances in Å follow each position.
Space group Fm-3m (No. 225)
Inequivalent atoms, fractional coordinates:
Mn (0.0000, 0.0000, 0.0000) (multiplicity 4)  6 O 2.18
Ni (0.0000, 0.0000, 0.5000) (multiplicity 4)  6 O 2.09
Ni (0.0000, 0.2500, 0.2500) (multiplicity 24)  6 O 2.13
O (0.0000, 0.0000, 0.2553) (multiplicity 24)  5 Ni 2.09-2.13, 1 Mn 2.18
O (0.2500, 0.2500, 0.2500) (multiplicity 8)  6 Ni 2.13

Entry 2:
The following is a GGA+U calculation of crystalline Mn3NiO8 at its relaxed geometry, from the Materials Project database.

Values from the calculation:
As for the energy above the most stable polymorph in this dataset: 0.009 eV per atom. Its total moment is 27.00 μB per cell. For the total energy, the calculation gives -6.472 eV per atom. The calculation puts the formation energy at -34.312 kcal/mol of atoms. As for the volume: 11.225 Å³/atom.

a = 5.7882 Å, b = 5.7882 Å, c = 13.9276 Å
α = 90.00°, β = 90.00°, γ = 120.00°
Closest atoms and distances in Å follow each position.
Space group R-3m (No. 166, hexagonal axes)
Inequivalent atoms, fractional coordinates:
Mn (0.0000, 0.5000, 0.0000) (multiplicity 9)  6 O 1.93-1.94
Ni (0.0000, 0.0000, 0.5000) (multiplicity 3)  6 O 1.90
O (0.0000, 0.0000, 0.2627) (multiplicity 6)  3 Mn 1.94
O (0.0403, 0.5202, 0.2535) (multiplicity 18)  1 Ni 1.90, 2 Mn 1.93

Entry 3:
The following is a GGA+U calculation of crystalline Mn2NiO14 at its relaxed geometry, from the Materials Project database.

Values from the calculation:
As for the energy above the most stable polymorph in this dataset: 0.017 eV per atom. Its total moment is 20.00 μB per cell. For the total energy, the calculation gives -4.646 eV per atom. The calculation puts the formation energy at -1.505 kcal/mol of atoms. As for the volume: 15.908 Å³/atom.

a = 13.2145 Å, b = 7.8601 Å, c = 5.2087 Å
α = 90.00°, β = 91.24°, γ = 90.00°
Closest atoms and distances in Å follow each position.
Space group Cm (No. 8)
Inequivalent atoms, fractional coordinates:
Mn (0.0000, 0.0000, 0.0000) (multiplicity 2)  4 O 1.61-1.64
Mn (0.1672, 0.5000, 0.5078) (multiplicity 2)  4 O 1.61-1.63
Ni (0.3330, 0.0000, 0.2406) (multiplicity 2)  6 O 1.81-1.84
O (0.0570, 0.1675, 0.1052) (multiplicity 4)  1 Mn 1.61
O (0.1086, 0.3327, 0.6058) (multiplicity 4)  1 Mn 1.61
O (0.1659, 0.5000, 0.1954) (multiplicity 2)  1 Mn 1.63
O (0.2400, 0.0000, 0.4987) (multiplicity 2)  1 Ni 1.84
O (0.2830, 0.5000, 0.6133) (multiplicity 2)  1 Mn 1.62
O (0.2972, 0.1624, 0.0099) (multiplicity 4)  1 Ni 1.81
O (0.3696, 0.1616, 0.4739) (multiplicity 4)  1 Ni 1.82
O (0.3824, 0.5000, 0.0920) (multiplicity 2)  1 Mn 1.64
O (0.4279, 0.0000, 0.9864) (multiplicity 2)  1 Ni 1.84
O (0.4989, 0.5000, 0.6882) (multiplicity 2)  1 Mn 1.62

Entry 4:
The following is a GGA+U calculation of crystalline Mn2NiO14 at its relaxed geometry, from the Materials Project database.

Values from the calculation:
As for the energy above the most stable polymorph in this dataset: 0.000 eV per atom. Its total moment is 10.00 μB per cell. For the total energy, the calculation gives -4.663 eV per atom. The calculation puts the formation energy at -1.888 kcal/mol of atoms. As for the volume: 13.272 Å³/atom.

a = 7.6256 Å, b = 7.6256 Å, c = 4.4804 Å
α = 90.00°, β = 90.00°, γ = 120.00°
Closest atoms and distances in Å follow each position.
Space group P3m1 (No. 156)
Inequivalent atoms, fractional coordinates:
Mn (0.0000, 0.0000, 0.0000) (multiplicity 1)  4 O 1.62-1.64
Mn (0.3333, 0.6667, 0.5070) (multiplicity 1)  4 O 1.61-1.62
Ni (0.6667, 0.3333, 0.2615) (multiplicity 1)  6 O 1.87-1.88
O (0.0000, 0.0000, 0.3612) (multiplicity 1)  1 Mn 1.62
O (0.1182, 0.2364, 0.8914) (multiplicity 3)  1 Mn 1.64
O (0.2173, 0.4347, 0.3988) (multiplicity 3)  1 Mn 1.61
O (0.3333, 0.6667, 0.8690) (multiplicity 1)  1 Mn 1.62
O (0.4671, 0.2335, 0.5619) (multiplicity 3)  1 Ni 1.88
O (0.5638, 0.1277, 0.9734) (multiplicity 3)  1 Ni 1.87

Entry 5:
The following is a GGA+U calculation of crystalline Mn3NiO8 at its relaxed geometry, from the Materials Project database.

Values from the calculation:
As for the energy above the most stable polymorph in this dataset: 0.007 eV per atom. Its total moment is 36.00 μB per cell. Its maximum piezoelectric response is 0.000 C/m². For the total energy, the calculation gives -6.474 eV per atom. The calculation puts the formation energy at -34.359 kcal/mol of atoms. As for the volume: 11.245 Å³/atom.

a = 8.1420 Å, b = 8.1420 Å, c = 8.1420 Å
α = 90.00°, β = 90.00°, γ = 90.00°
Closest atoms and distances in Å follow each position.
Space group P4_332 (No. 212)
Inequivalent atoms, fractional coordinates:
Mn (0.1219, 0.3750, 0.3719) (multiplicity 12)  6 O 1.93-1.94
Ni (0.1250, 0.1250, 0.1250) (multiplicity 4)  6 O 1.90
O (0.1077, 0.6120, 0.3855) (multiplicity 24)  1 Ni 1.90, 2 Mn 1.93-1.94
O (0.1096, 0.3904, 0.6096) (multiplicity 8)  3 Mn 1.94

Entry 6:
The following is a GGA+U calculation of crystalline Mn4NiO8 at its relaxed geometry, from the Materials Project database.

Values from the calculation:
Its total moment is 32.00 μB per cell. For the total energy, the calculation gives -6.898 eV per atom. The calculation puts the formation energy at -39.693 kcal/mol of atoms. As for the volume: 11.474 Å³/atom.

a = 10.3385 Å, b = 5.8049 Å, c = 5.9448 Å
α = 90.00°, β = 123.26°, γ = 90.00°
Closest atoms and distances in Å follow each position.
Space group C2/m (No. 12)
Inequivalent atoms, fractional coordinates:
Mn (0.0000, 0.0000, 0.0000) (multiplicity 2)  6 O 2.00-2.22
Mn (0.0000, 0.5000, 0.5000) (multiplicity 2)  6 O 2.12-2.18
Mn (0.2500, 0.2500, 0.0000) (multiplicity 4)  6 O 1.92-1.95
Ni (0.0000, 0.5000, 0.0000) (multiplicity 2)  6 O 2.00-2.03
O (0.0276, 0.2465, 0.7945) (multiplicity 8)  2 Mn 1.92-2.00, 1 Ni 2.03
O (0.2305, 0.5000, 0.1940) (multiplicity 4)  2 Mn 1.93, 1 Ni 2.00
O (0.2440, 0.5000, 0.7755) (multiplicity 4)  3 Mn 1.95-2.12

Entry 7:
The following is a GGA+U calculation of crystalline Mn2NiO4 at its relaxed geometry, from the Materials Project database.

Values from the calculation:
As for the energy above the most stable polymorph in this dataset: 0.000 eV per atom. For the total energy, the calculation gives -6.813 eV per atom. The calculation puts the formation energy at -40.921 kcal/mol of atoms. As for the volume: 11.023 Å³/atom.

a = 5.9901 Å, b = 6.0175 Å, c = 8.5629 Å
α = 90.00°, β = 90.00°, γ = 90.00°
Closest atoms and distances in Å follow each position.
Space group Imma (No. 74)
Inequivalent atoms, fractional coordinates:
Mn (0.0000, 0.2500, 0.1150) (multiplicity 4)  4 O 2.01-2.07
Mn (0.2500, 0.2500, 0.7500) (multiplicity 4)  6 O 1.93-1.99
Ni (0.0000, 0.0000, 0.5000) (multiplicity 4)  6 O 2.05-2.13
O (0.0000, 0.0327, 0.7475) (multiplicity 8)  3 Mn 1.99-2.07, 1 Ni 2.13
O (0.2310, 0.2500, 0.5244) (multiplicity 8)  2 Mn 1.93-2.01, 2 Ni 2.05

Entry 8:
The following is a GGA+U calculation of crystalline Mn2NiO4 at its relaxed geometry, from the Materials Project database.

Values from the calculation:
As for the energy above the most stable polymorph in this dataset: 0.330 eV per atom. Its total moment is 87.45 μB per cell. For the total energy, the calculation gives -6.483 eV per atom. The calculation puts the formation energy at -33.309 kcal/mol of atoms. As for the volume: 11.027 Å³/atom.

a = 8.5157 Å, b = 8.5157 Å, c = 8.5157 Å
α = 90.00°, β = 90.00°, γ = 90.00°
Closest atoms and distances in Å follow each position.
Space group Fd-3m (No. 227, origin choice 2)
Inequivalent atoms, fractional coordinates:
Mn (0.0000, 0.0000, 0.0000) (multiplicity 16)  6 O 2.08
Ni (0.1250, 0.1250, 0.6250) (multiplicity 8)  4 O 1.93
O (0.0057, 0.0057, 0.2443) (multiplicity 32)  1 Ni 1.93, 3 Mn 2.08

- Number 1 is which compound?
  MnNi7O8